The following is a r2SCAN calculation of crystalline Nd2B5 at its relaxed geometry, from the Materials Project database.

Cell and atoms, written as CIF:
```
data_Nd2B5
_space_group_name_H-M_alt 'C 1 2/c 1'
_space_group_IT_number 15
_cell_length_a 15.164
_cell_length_b 7.295
_cell_length_c 7.328
_cell_angle_alpha 90.00
_cell_angle_beta 109.13
_cell_angle_gamma 90.00
loop_
_space_group_symop_operation_xyz
'x,y,z'
'-x,-y,-z'
'-x,y,-z+1/2'
'x,-y,z+1/2'
'x+1/2,y+1/2,z'
'-x+1/2,-y+1/2,-z'
'-x+1/2,y+1/2,-z+1/2'
'x+1/2,-y+1/2,z+1/2'
loop_
_atom_site_label
_atom_site_fract_x
_atom_site_fract_y
_atom_site_fract_z
Nd1 0.118 0.062 0.223
Nd2 0.119 0.430 0.599
B1 0.042 0.245 0.852
B2 0.160 0.249 0.939
B3 0.249 0.289 0.170
B4 0.249 0.342 0.407
B5 0.250 0.079 0.040
```

## Properties
VASP energy = -14.232 eV/atom
Energy of formation from the pure elements = -55.9 kJ/mol of atoms